SmNi4P2 after structural relaxation, computed with PBE-GGA.

Summary:
VASP energy   -6.3239 eV/atom
Formation enthalpy at 0 K   -5.6 eV/f.u.

abc: 3.7301 10.7004 14.1062
angles: 90.00 90.00 90.00
Fractional coordinates of all 42 atoms:
P  0.0000  0.7931  0.8716
Ni  0.0000  0.4024  0.0593
P  0.5000  0.1389  0.8822
Ni  0.5000  0.0694  0.1779
Ni  0.0000  0.9270  0.5638
Ni  0.0000  0.0730  0.4362
P  0.0000  0.4330  0.8412
Ni  0.0000  0.7251  0.4625
Sm  0.0000  0.8793  0.2770
P  0.0000  0.3611  0.3822
Ni  0.5000  0.9306  0.8221
Ni  0.0000  0.7476  0.0870
Ni  0.0000  0.2524  0.9130
Ni  0.0000  0.5976  0.9407
Sm  0.5000  0.5000  0.5000
P  0.5000  0.7069  0.3716
Ni  0.5000  0.9024  0.4407
Sm  0.5000  0.6207  0.7770
Ni  0.0000  0.2749  0.5375
Ni  0.0000  0.4306  0.6779
Ni  0.0000  0.5694  0.3221
Ni  0.5000  0.2251  0.0375
Ni  0.5000  0.3203  0.7844
P  0.5000  0.0670  0.3412
Sm  0.5000  0.3793  0.2230
P  0.0000  0.5670  0.1588
P  0.5000  0.9330  0.6588
Sm  0.0000  0.0000  0.0000
Ni  0.5000  0.5730  0.0638
Ni  0.5000  0.6797  0.2156
Ni  0.5000  0.0976  0.5593
Ni  0.5000  0.7524  0.5870
Ni  0.5000  0.7749  0.9625
Ni  0.5000  0.2476  0.4130
Ni  0.0000  0.1797  0.2844
P  0.5000  0.8611  0.1178
Sm  0.0000  0.1207  0.7230
P  0.5000  0.2931  0.6284
Ni  0.5000  0.4270  0.9362
P  0.0000  0.2069  0.1284
Ni  0.0000  0.8203  0.7156
P  0.0000  0.6389  0.6178